VASP calculation (meta-GGA r2SCAN) on a relaxed SrCuSi crystal.

- space group = P-6m2
- raw total energy (eV per atom) = -11.950
- size of the total moment (μB/atom) = 0.0000
- ΔH_f (0 K) (eV per atom) = -0.3617
- mass density (kg/m³) = 4402

Lattice parameters (Å, degrees): 4.090 4.090 4.668 90.00 90.00 120.00
Fractional positions:
Sr 0.333 0.667 0.000
Cu 0.667 0.333 0.500
Si 0.000 0.000 0.500